First-principles (GGA-PBE) data for a relaxed TiB crystal, as listed in the Materials Project.

Structure (extended XYZ):
```
8
Lattice="3.052 0.000 0.000 0.000 4.560 0.000 0.000 0.000 6.121" Properties=species:S:1:pos:R:3 pbc="T T T"
B 2.289 0.453 2.877
B 0.763 4.107 3.243
B 0.763 2.733 0.183
B 2.289 1.827 5.938
Ti 0.763 0.556 1.087
Ti 2.289 2.836 1.973
Ti 0.763 1.725 4.147
Ti 2.289 4.005 5.034
```

Output
DFT formation energy: -0.832 eV/atom
SG: Pnma
Uncorrected energy: -8.119 eV/atom